(1)
Computed, not measured: a geometry-optimized VCoB3 structure at the r2SCAN level of DFT.

The structure in POSCAR format:
```
VCoB3
1.0
2.966 0.000 0.000
0.000 2.949 -0.511
0.000 0.010 8.823
V B Co
2 6 2
Direct
0.250 0.075 0.149
0.750 0.925 0.851
0.750 0.625 0.250
0.750 0.320 0.641
0.250 0.475 0.950
0.250 0.375 0.750
0.750 0.525 0.050
0.250 0.680 0.359
0.250 0.796 0.592
0.750 0.204 0.408
```

Space-group type: Cmcm (63)
Magnetic moment, μB per formula unit: 0.0
Formation energy from the elements, eV/atom: -0.5937

***

(2)
Computed, not measured: a geometry-optimized CoB3W3 structure at the r2SCAN level of DFT.

The structure in POSCAR format:
```
CoB3W3
1.0
1.584 -4.211 0.000
1.584 4.211 0.000
0.000 0.000 10.739
Co W B
2 6 6
Direct
0.500 0.500 0.000
0.500 0.500 0.500
0.211 0.789 0.106
0.502 0.498 0.750
0.789 0.211 0.894
0.789 0.211 0.606
0.498 0.502 0.250
0.211 0.789 0.394
0.085 0.915 0.898
0.915 0.085 0.398
0.791 0.209 0.250
0.915 0.085 0.102
0.209 0.791 0.750
0.085 0.915 0.602
```

Space-group type: Cmcm (63)
Magnetic moment, μB per formula unit: 0.0
Formation energy from the elements, eV/atom: -0.4109

***

(3)
Computed, not measured: a geometry-optimized Co21B6W2 structure at the r2SCAN level of DFT.

The structure in POSCAR format:
```
Co21B6W2
1.0
-0.160 3.187 6.628
3.166 -3.316 5.753
6.169 2.765 2.902
Co W B
21 2 6
Direct
0.000 0.343 0.657
0.000 0.000 0.000
0.657 0.343 0.000
0.000 0.657 0.343
0.382 0.382 0.853
0.657 0.000 0.000
0.657 0.000 0.343
0.382 0.382 0.382
0.343 0.657 0.000
0.343 0.000 0.000
0.382 0.853 0.382
0.618 0.147 0.618
0.343 0.000 0.657
0.000 0.000 0.657
0.618 0.618 0.618
0.853 0.382 0.382
0.000 0.657 0.000
0.147 0.618 0.618
0.000 0.000 0.343
0.000 0.343 0.000
0.618 0.618 0.147
0.750 0.750 0.750
0.250 0.250 0.250
0.275 0.725 0.275
0.725 0.275 0.275
0.275 0.725 0.725
0.275 0.275 0.725
0.725 0.275 0.725
0.725 0.725 0.275
```

Space-group type: Fm-3m (225)
Magnetic moment, μB per formula unit: 24.0
Formation energy from the elements, eV/atom: -0.1346

***

(4)
Computed, not measured: a geometry-optimized CoBW structure at the r2SCAN level of DFT.

The structure in POSCAR format:
```
CoBW
1.0
-2.861 1.337 0.697
-2.348 -2.718 -4.424
-1.434 -5.102 3.897
W B Co
4 4 4
Direct
0.750 0.973 0.825
0.250 0.527 0.325
0.250 0.027 0.175
0.750 0.473 0.675
0.750 0.730 0.125
0.250 0.770 0.625
0.250 0.270 0.875
0.750 0.230 0.375
0.750 0.857 0.442
0.750 0.357 0.058
0.250 0.643 0.942
0.250 0.143 0.558
```

Space-group type: Pnma (62)
Magnetic moment, μB per formula unit: 0.0
Formation energy from the elements, eV/atom: -0.3636

***

(5)
Computed, not measured: a geometry-optimized CoB2W2 structure at the r2SCAN level of DFT.

The structure in POSCAR format:
```
CoB2W2
1.0
-1.291 2.456 1.534
-0.648 -1.000 4.330
2.845 1.622 3.074
B Co W
2 1 2
Direct
0.500 0.707 0.293
0.500 0.293 0.707
0.000 0.000 0.000
0.799 0.701 0.701
0.201 0.299 0.299
```

Space-group type: Immm (71)
Magnetic moment, μB per formula unit: 0.0
Formation energy from the elements, eV/atom: -0.4147

***

(6)
Computed, not measured: a geometry-optimized YCo3B2 structure at the r2SCAN level of DFT.

The structure in POSCAR format:
```
YCo3B2
1.0
-1.940 -0.485 4.618
-2.788 -1.138 -4.033
0.963 -2.764 0.114
Co Y B
3 1 2
Direct
0.500 0.000 0.500
0.000 0.500 0.500
0.500 0.500 0.500
0.000 0.000 0.000
0.333 0.667 0.000
0.667 0.333 0.000
```

Space-group type: P6/mmm (191)
Magnetic moment, μB per formula unit: 0.9
Formation energy from the elements, eV/atom: -0.4025

***

(7)
Computed, not measured: a geometry-optimized YCo2B2 structure at the r2SCAN level of DFT.

The structure in POSCAR format:
```
YCo2B2
1.0
3.330 0.000 -1.184
-0.421 3.303 -1.184
0.019 0.022 5.328
Y Co B
1 2 2
Direct
0.000 0.000 0.000
0.250 0.750 0.500
0.750 0.250 0.500
0.655 0.655 0.309
0.345 0.345 0.691
```

Space-group type: I4/mmm (139)
Magnetic moment, μB per formula unit: 0.0
Formation energy from the elements, eV/atom: -0.5315

***

(8)
Computed, not measured: a geometry-optimized YCoB4 structure at the r2SCAN level of DFT.

The structure in POSCAR format:
```
YCoB4
1.0
-3.157 -0.366 1.209
0.969 -5.758 0.790
3.800 2.087 10.556
Y B Co
4 16 4
Direct
0.500 0.627 0.850
0.500 0.373 0.150
0.500 0.127 0.650
0.500 0.873 0.350
0.000 0.888 0.954
0.000 0.217 0.316
0.000 0.388 0.546
0.000 0.640 0.033
0.000 0.783 0.684
0.000 0.978 0.810
0.000 0.612 0.454
0.000 0.522 0.310
0.000 0.360 0.967
0.000 0.717 0.184
0.000 0.022 0.190
0.000 0.283 0.816
0.000 0.860 0.533
0.000 0.140 0.467
0.000 0.112 0.046
0.000 0.478 0.690
0.500 0.133 0.912
0.500 0.867 0.088
0.500 0.633 0.588
0.500 0.367 0.412
```

Space-group type: Pbam (55)
Magnetic moment, μB per formula unit: 0.9
Formation energy from the elements, eV/atom: -0.5938

***

(9)
Computed, not measured: a geometry-optimized YbCo3B2 structure at the r2SCAN level of DFT.

The structure in POSCAR format:
```
YbCo3B2
1.0
2.489 1.754 3.876
-4.323 2.003 -1.265
-1.408 -1.919 1.772
Co B Yb
3 2 1
Direct
0.500 0.000 0.500
0.500 0.500 0.500
0.000 0.500 0.500
0.333 0.667 0.000
0.667 0.333 0.000
0.000 0.000 0.000
```

Space-group type: P6/mmm (191)
Magnetic moment, μB per formula unit: 0.0
Formation energy from the elements, eV/atom: -0.4612

***

(10)
Computed, not measured: a geometry-optimized CrB structure at the r2SCAN level of DFT.

The structure in POSCAR format:
```
CrB
1.0
2.900 0.000 0.000
0.000 2.900 0.000
-1.451 -1.451 7.802
Cr B
4 4
Direct
0.177 0.427 0.355
0.427 0.177 0.855
0.823 0.573 0.645
0.573 0.823 0.145
0.967 0.717 0.935
0.033 0.283 0.065
0.283 0.033 0.565
0.717 0.967 0.435
```

Space-group type: I4_1/amd (141)
Magnetic moment, μB per formula unit: 0.0
Formation energy from the elements, eV/atom: -0.4108

***

(11)
Computed, not measured: a geometry-optimized CrB4 structure at the r2SCAN level of DFT.

The structure in POSCAR format:
```
CrB4
1.0
-0.624 2.548 1.101
-4.478 -1.337 0.555
1.174 -1.865 4.981
B Cr
8 2
Direct
0.500 0.337 0.132
0.000 0.837 0.368
0.500 0.725 0.180
0.500 0.275 0.820
0.000 0.775 0.680
0.000 0.163 0.632
0.500 0.663 0.868
0.000 0.225 0.320
0.000 0.000 0.000
0.500 0.500 0.500
```

Space-group type: Pnnm (58)
Magnetic moment, μB per formula unit: 0.0
Formation energy from the elements, eV/atom: -0.2654
Energy relative to the lowest polymorph listed for this composition, eV per formula unit: 0.00

***

(12)
Computed, not measured: a geometry-optimized Cr2B structure at the r2SCAN level of DFT.

The structure in POSCAR format:
```
Cr2B
1.0
-3.474 0.513 -2.287
0.240 -3.237 2.651
0.194 3.403 2.438
Cr B
4 2
Direct
0.166 0.334 0.500
0.334 0.834 0.169
0.834 0.666 0.500
0.666 0.166 0.831
0.750 0.750 0.000
0.250 0.250 0.000
```

Space-group type: I4/mcm (140)
Magnetic moment, μB per formula unit: 0.0
Formation energy from the elements, eV/atom: -0.2067

***

(13)
Computed, not measured: a geometry-optimized Cr3B4 structure at the r2SCAN level of DFT.

The structure in POSCAR format:
```
Cr3B4
1.0
2.856 0.000 -0.631
-0.140 2.825 -0.632
0.007 0.036 6.806
B Cr
4 3
Direct
0.360 0.359 0.719
0.640 0.641 0.281
0.066 0.567 0.133
0.934 0.433 0.867
0.814 0.814 0.628
0.500 0.000 0.000
0.186 0.186 0.372
```

Space-group type: Immm (71)
Magnetic moment, μB per formula unit: 0.0
Formation energy from the elements, eV/atom: -0.3472

***

(14)
Computed, not measured: a geometry-optimized CrB4 structure at the r2SCAN level of DFT.

The structure in POSCAR format:
```
CrB4
1.0
-0.916 2.698 -0.037
-0.799 1.283 3.577
2.863 2.488 0.833
B Cr
4 1
Direct
0.658 0.538 0.146
0.342 0.854 0.462
0.658 0.146 0.538
0.342 0.462 0.854
0.000 0.000 0.000
```

Space-group type: Immm (71)
Magnetic moment, μB per formula unit: 0.0
Formation energy from the elements, eV/atom: -0.2568
Energy relative to the lowest polymorph listed for this composition, eV per formula unit: 0.04

***

(15)
Computed, not measured: a geometry-optimized CrB structure at the r2SCAN level of DFT.

The structure in POSCAR format:
```
CrB
1.0
-0.092 2.856 0.507
-1.893 0.326 -2.177
-2.008 -0.700 3.576
B Cr
2 2
Direct
0.750 0.435 0.870
0.250 0.565 0.130
0.750 0.145 0.291
0.250 0.855 0.709
```

Space-group type: Cmcm (63)
Magnetic moment, μB per formula unit: 0.0
Formation energy from the elements, eV/atom: -0.4007

***

(16)
Computed, not measured: a geometry-optimized Cr2B structure at the r2SCAN level of DFT.

The structure in POSCAR format:
```
Cr2B
1.0
4.025 0.000 1.163
2.012 3.649 0.581
-0.001 0.000 7.550
Cr B
8 4
Direct
0.042 0.750 0.916
0.460 0.080 0.750
0.210 0.580 0.250
0.790 0.420 0.750
0.792 0.250 0.416
0.958 0.250 0.084
0.540 0.920 0.250
0.208 0.750 0.584
0.499 0.750 0.001
0.751 0.750 0.499
0.249 0.250 0.501
0.501 0.250 0.999
```

Space-group type: Fddd (70)
Magnetic moment, μB per formula unit: 0.0
Formation energy from the elements, eV/atom: -0.2062

***

(17)
Computed, not measured: a geometry-optimized Er3CrB7 structure at the r2SCAN level of DFT.

The structure in POSCAR format:
```
Er3CrB7
1.0
-5.753 5.251 1.817
3.623 -5.555 -4.471
-4.650 -6.649 4.492
Er B Cr
6 14 2
Direct
0.895 0.105 0.559
0.895 0.105 0.941
0.242 0.758 0.750
0.758 0.242 0.250
0.105 0.895 0.441
0.105 0.895 0.059
0.273 0.727 0.468
0.727 0.273 0.532
0.480 0.520 0.096
0.727 0.273 0.968
0.543 0.457 0.250
0.631 0.369 0.849
0.520 0.480 0.904
0.480 0.520 0.404
0.520 0.480 0.596
0.369 0.631 0.349
0.631 0.369 0.651
0.457 0.543 0.750
0.369 0.631 0.151
0.273 0.727 0.032
0.947 0.053 0.250
0.053 0.947 0.750
```

Space-group type: Cmcm (63)
Magnetic moment, μB per formula unit: 0.9
Formation energy from the elements, eV/atom: -0.6923

***

(18)
Computed, not measured: a geometry-optimized Ho3CrB7 structure at the r2SCAN level of DFT.

The structure in POSCAR format:
```
Ho3CrB7
1.0
1.716 -7.854 0.000
1.716 7.854 0.000
0.000 0.000 9.314
B Ho Cr
14 6 2
Direct
0.727 0.273 0.968
0.273 0.727 0.468
0.521 0.479 0.597
0.542 0.458 0.250
0.631 0.369 0.849
0.521 0.479 0.903
0.273 0.727 0.032
0.479 0.521 0.097
0.631 0.369 0.651
0.458 0.542 0.750
0.369 0.631 0.151
0.727 0.273 0.532
0.479 0.521 0.403
0.369 0.631 0.349
0.895 0.105 0.560
0.758 0.242 0.250
0.105 0.895 0.060
0.242 0.758 0.750
0.895 0.105 0.940
0.105 0.895 0.440
0.053 0.947 0.750
0.947 0.053 0.250
```

Space-group type: Cmcm (63)
Magnetic moment, μB per formula unit: 0.9
Formation energy from the elements, eV/atom: -0.6717

***

(19)
Computed, not measured: a geometry-optimized CrB2Mo2 structure at the r2SCAN level of DFT.

The structure in POSCAR format:
```
CrB2Mo2
1.0
-3.278 -1.414 4.581
-1.630 -4.890 -2.675
2.418 -1.499 1.267
Mo Cr B
4 2 4
Direct
0.677 0.177 0.500
0.177 0.323 0.500
0.323 0.823 0.500
0.823 0.677 0.500
0.000 0.000 0.000
0.500 0.500 0.000
0.614 0.886 0.000
0.114 0.614 0.000
0.386 0.114 0.000
0.886 0.386 0.000
```

Space-group type: P4/mbm (127)
Magnetic moment, μB per formula unit: 0.0
Formation energy from the elements, eV/atom: -0.4201

***

(20)
Computed, not measured: a geometry-optimized SmCr2B6 structure at the r2SCAN level of DFT.

The structure in POSCAR format:
```
SmCr2B6
1.0
-1.540 3.265 4.151
1.540 -3.265 4.151
1.540 3.265 -4.151
B Cr Sm
6 2 1
Direct
0.567 0.303 0.264
0.861 0.500 0.361
0.961 0.697 0.264
0.039 0.303 0.736
0.433 0.697 0.736
0.139 0.500 0.639
0.845 0.845 0.000
0.155 0.155 0.000
0.500 0.000 0.500
```

Space-group type: Immm (71)
Magnetic moment, μB per formula unit: 0.8
Formation energy from the elements, eV/atom: -0.5286